Compound: Ca8Ti3Mn5O22
Source: the Materials Project
Functional: PBE with a Hubbard U
Structure: optimized geometry

Output
* DFT total energy: -1128.45 eV/cell
* magnetic moment: 19.00 μB/f.u.
* E above lowest polymorph: 0 meV per atom

Unit cell a=10.933 b=10.947 c=15.602 alpha=89.73 beta=89.62 gamma=88.60
Space group P1 (No. 1)
One atom of each set of equivalent atoms:
Ca 0.000 0.000 0.000
Ca 0.000 0.499 0.003
Ca 0.014 0.514 0.504
Ca 0.017 0.017 0.504
Ca 0.037 0.506 0.736
Ca 0.042 0.008 0.735
Ca 0.044 0.514 0.271
Ca 0.046 0.017 0.272
Ca 0.267 0.784 0.508
Ca 0.275 0.267 0.508
Ca 0.303 0.773 0.279
Ca 0.307 0.269 0.279
Ca 0.308 0.774 0.739
Ca 0.311 0.272 0.740
Ca 0.316 0.234 0.998
Ca 0.319 0.733 0.999
Ca 0.530 0.019 0.506
Ca 0.538 0.504 0.505
Ca 0.560 0.532 0.998
Ca 0.562 0.032 0.997
Ca 0.574 0.021 0.747
Ca 0.575 0.520 0.747
Ca 0.576 0.511 0.270
Ca 0.579 0.021 0.269
Ca 0.768 0.767 0.001
Ca 0.769 0.267 0.003
Ca 0.774 0.269 0.504
Ca 0.785 0.768 0.505
Ca 0.813 0.269 0.270
Ca 0.815 0.258 0.742
Ca 0.816 0.768 0.269
Ca 0.817 0.757 0.744
Ti 0.277 0.443 0.120
Ti 0.279 0.946 0.116
Ti 0.290 0.522 0.625
Ti 0.293 0.524 0.390
Ti 0.305 0.519 0.870
Ti 0.306 0.018 0.872
Ti 0.542 0.765 0.624
Ti 0.544 0.768 0.383
Ti 0.551 0.773 0.870
Ti 0.552 0.273 0.873
Ti 0.553 0.284 0.137
Ti 0.557 0.786 0.137
Mn 0.028 0.267 0.135
Mn 0.032 0.769 0.134
Mn 0.039 0.241 0.873
Mn 0.040 0.741 0.874
Mn 0.044 0.265 0.626
Mn 0.044 0.767 0.626
Mn 0.044 0.769 0.383
Mn 0.046 0.268 0.384
Mn 0.291 0.020 0.387
Mn 0.292 0.021 0.629
Mn 0.541 0.263 0.383
Mn 0.541 0.264 0.629
Mn 0.791 0.014 0.627
Mn 0.791 0.513 0.627
Mn 0.794 0.517 0.382
Mn 0.795 0.019 0.383
Mn 0.796 0.521 0.132
Mn 0.797 0.005 0.875
Mn 0.798 0.019 0.132
Mn 0.798 0.505 0.877
O 0.041 0.294 0.750
O 0.044 0.794 0.751
O 0.045 0.297 0.259
O 0.050 0.800 0.258
O 0.055 0.728 0.505
O 0.060 0.229 0.506
O 0.145 0.917 0.609
O 0.149 0.917 0.398
O 0.151 0.366 0.061
O 0.151 0.870 0.058
O 0.152 0.422 0.609
O 0.154 0.416 0.398
O 0.177 0.121 0.916
O 0.178 0.621 0.916
O 0.186 0.660 0.367
O 0.189 0.162 0.367
O 0.190 0.667 0.643
O 0.191 0.164 0.648
O 0.252 0.005 0.221
O 0.256 0.491 0.231
O 0.260 0.489 0.760
O 0.261 0.987 0.763
O 0.312 0.053 0.512
O 0.315 0.561 0.505
O 0.357 0.542 0.048
O 0.358 0.040 0.039
O 0.368 0.299 0.133
O 0.371 0.803 0.133
O 0.372 0.368 0.897
O 0.374 0.865 0.895
O 0.391 0.868 0.397
O 0.392 0.870 0.617
O 0.395 0.372 0.397
O 0.395 0.373 0.615
O 0.429 0.618 0.349
O 0.433 0.120 0.657
O 0.433 0.122 0.864
O 0.433 0.622 0.865
O 0.433 0.623 0.658
O 0.434 0.116 0.357
O 0.525 0.310 0.760
O 0.526 0.298 0.257
O 0.528 0.808 0.757
O 0.529 0.806 0.257
O 0.542 0.244 0.009
O 0.543 0.723 0.505
O 0.544 0.745 0.011
O 0.549 0.230 0.503
O 0.612 0.433 0.124
O 0.625 0.934 0.122
O 0.641 0.902 0.399
O 0.644 0.903 0.610
O 0.646 0.402 0.395
O 0.646 0.909 0.894
O 0.648 0.408 0.614
O 0.648 0.409 0.895
O 0.680 0.157 0.653
O 0.680 0.656 0.360
O 0.681 0.662 0.860
O 0.682 0.159 0.358
O 0.682 0.161 0.860
O 0.682 0.657 0.652
O 0.685 0.174 0.151
O 0.687 0.675 0.153
O 0.785 0.554 0.007
O 0.787 0.051 0.006
O 0.789 0.554 0.504
O 0.790 0.972 0.750
O 0.791 0.053 0.505
O 0.793 0.474 0.751
O 0.796 0.983 0.257
O 0.797 0.483 0.257
O 0.880 0.367 0.106
O 0.883 0.865 0.106
O 0.898 0.870 0.609
O 0.899 0.374 0.607
O 0.900 0.873 0.400
O 0.902 0.376 0.402
O 0.906 0.859 0.909
O 0.908 0.358 0.910
O 0.930 0.123 0.642
O 0.934 0.627 0.642
O 0.936 0.634 0.366
O 0.937 0.134 0.369
O 0.940 0.095 0.862
O 0.940 0.595 0.863
O 0.962 0.100 0.134
O 0.982 0.601 0.134

=====

Compound: KSrCeWO6
Source: the Materials Project
Functional: PBE with a Hubbard U
Structure: optimized geometry

Output
* DFT total energy: -288.03 eV/cell
* magnetic moment: 1.00 μB/f.u.
* E above lowest polymorph: 0 meV per atom

Unit cell a=8.421 b=8.470 c=8.480 alpha=90.00 beta=90.00 gamma=90.00
Space group Pnnn (No. 48, origin choice 2)
One atom of each set of equivalent atoms:
K 0.250 0.250 0.250
K 0.250 0.750 0.250
Sr 0.250 0.250 0.750
Sr 0.250 0.750 0.750
Ce 0.000 0.000 0.000
W 0.000 0.000 0.500
O 0.019 0.240 0.481
O 0.040 0.018 0.739
O 0.230 0.525 0.017

=====

Compound: NaAl6Fe3Si6B3O30F
Source: the Materials Project
Functional: PBE with a Hubbard U
Structure: optimized geometry

Output
* DFT total energy: -1123.43 eV/cell
* magnetic moment: 15.00 μB/f.u.

Unit cell a=16.0229 b=16.0229 c=7.3185 alpha=90.00 beta=90.00 gamma=120.00
Space group R3m (No. 160, hexagonal axes)
One atom of each set of equivalent atoms:
Na 0.0000 0.0000 0.0000
Al 0.0335 0.4077 0.2804
Fe 0.0686 0.1371 0.6007
Si 0.0007 0.1920 0.2211
B 0.2217 0.1109 0.7643
O 0.9997 0.2862 0.1434
O 0.0047 0.1943 0.4436
O 0.0667 0.5334 0.3598
O 0.0913 0.1826 0.1394
O 0.1222 0.0611 0.7338
O 0.1235 0.3966 0.4441
O 0.1865 0.0932 0.1452
F 0.0000 0.0000 0.4486